No. 1
Compound: HoPS4
Source: the Materials Project database
Functional: PBE-GGA
Structure: relaxed

Unit cell a=12.200 b=12.200 c=12.200 alpha=127.59 beta=127.59 gamma=77.29
Element x y z (fractional)
Ho 0.125 0.375 0.750
Ho 0.125 0.875 0.250
Ho 0.375 0.125 0.250
Ho 0.375 0.625 0.750
Ho 0.625 0.375 0.250
Ho 0.625 0.875 0.750
Ho 0.875 0.125 0.750
Ho 0.875 0.625 0.250
P 0.212 0.250 0.462
P 0.250 0.288 0.038
P 0.250 0.788 0.538
P 0.288 0.750 0.038
P 0.712 0.250 0.962
P 0.750 0.212 0.462
P 0.750 0.712 0.962
P 0.788 0.750 0.538
S 0.084 0.883 0.473
S 0.090 0.389 0.973
S 0.095 0.664 0.940
S 0.111 0.410 0.527
S 0.117 0.090 0.201
S 0.156 0.095 0.932
S 0.164 0.595 0.440
S 0.224 0.156 0.560
S 0.276 0.836 0.932
S 0.336 0.776 0.432
S 0.344 0.276 0.940
S 0.383 0.584 0.973
S 0.389 0.916 0.299
S 0.405 0.344 0.568
S 0.410 0.383 0.299
S 0.416 0.889 0.799
S 0.584 0.111 0.201
S 0.590 0.617 0.701
S 0.595 0.656 0.432
S 0.611 0.084 0.701
S 0.617 0.416 0.027
S 0.656 0.724 0.060
S 0.664 0.224 0.568
S 0.724 0.164 0.068
S 0.776 0.844 0.440
S 0.836 0.405 0.560
S 0.844 0.905 0.068
S 0.883 0.910 0.799
S 0.889 0.590 0.473
S 0.905 0.336 0.060
S 0.910 0.611 0.027
S 0.916 0.117 0.527

Properties
Final energy in eV for the cell shown: -261.3
Symmetry: No. 142
Energy of formation from the pure elements in meV/atom: -1355

=====

No. 2
Compound: CaZrAl9BO18
Source: the Materials Project database
Functional: PBE-GGA
Structure: relaxed

Unit cell a=8.802 b=8.802 c=8.552 alpha=90.00 beta=90.00 gamma=120.00
Element x y z (fractional)
Ca 0.000 0.000 0.000
Ca 0.000 0.000 0.500
Zr 0.333 0.667 0.256
Zr 0.667 0.333 0.756
Al 0.004 0.668 0.256
Al 0.017 0.657 0.928
Al 0.018 0.657 0.584
Al 0.332 0.337 0.256
Al 0.337 0.004 0.756
Al 0.343 0.361 0.584
Al 0.343 0.361 0.928
Al 0.361 0.017 0.428
Al 0.361 0.018 0.084
Al 0.639 0.982 0.584
Al 0.639 0.983 0.928
Al 0.657 0.639 0.084
Al 0.657 0.639 0.428
Al 0.663 0.996 0.256
Al 0.668 0.663 0.756
Al 0.982 0.343 0.084
Al 0.983 0.343 0.428
Al 0.996 0.332 0.756
B 0.333 0.667 0.756
B 0.667 0.333 0.256
O 0.107 0.299 0.924
O 0.107 0.300 0.588
O 0.110 0.328 0.256
O 0.118 0.595 0.098
O 0.118 0.595 0.414
O 0.154 0.601 0.756
O 0.192 0.893 0.924
O 0.193 0.893 0.588
O 0.219 0.890 0.256
O 0.299 0.192 0.424
O 0.300 0.193 0.088
O 0.328 0.219 0.756
O 0.399 0.553 0.756
O 0.405 0.523 0.098
O 0.405 0.523 0.414
O 0.447 0.846 0.756
O 0.477 0.882 0.098
O 0.477 0.882 0.414
O 0.523 0.118 0.598
O 0.523 0.118 0.914
O 0.553 0.154 0.256
O 0.595 0.477 0.598
O 0.595 0.477 0.914
O 0.601 0.447 0.256
O 0.672 0.781 0.256
O 0.700 0.807 0.588
O 0.701 0.808 0.924
O 0.781 0.110 0.756
O 0.807 0.107 0.088
O 0.808 0.107 0.424
O 0.846 0.399 0.256
O 0.882 0.405 0.598
O 0.882 0.405 0.914
O 0.890 0.672 0.756
O 0.893 0.700 0.088
O 0.893 0.701 0.424

Properties
Final energy in eV for the cell shown: -462.1
Symmetry: No. 173
Energy of formation from the pure elements in meV/atom: -3447

=====

No. 3
Compound: MgZn3
Source: the Materials Project database
Functional: PBE-GGA
Structure: relaxed

Unit cell a=2.902 b=4.676 c=4.882 alpha=90.00 beta=90.00 gamma=90.00
Element x y z (fractional)
Mg 0.000 0.000 0.000
Zn 0.000 0.500 0.661
Zn 0.500 0.000 0.496
Zn 0.500 0.500 0.168

Properties
Final energy in eV for the cell shown: -5.5
Symmetry: No. 25
Energy of formation from the pure elements in meV/atom: -21

=====

No. 4
Compound: Nd12Si5Se28
Source: the Materials Project database
Functional: PBE-GGA
Structure: relaxed

Unit cell a=10.615 b=10.615 c=24.381 alpha=90.00 beta=90.00 gamma=120.00
Element x y z (fractional)
Nd 0.011 0.453 0.116
Nd 0.019 0.464 0.879
Nd 0.027 0.465 0.375
Nd 0.035 0.471 0.633
Nd 0.304 0.208 0.243
Nd 0.307 0.201 0.499
Nd 0.315 0.208 0.000
Nd 0.317 0.201 0.760
Nd 0.436 0.965 0.633
Nd 0.438 0.973 0.375
Nd 0.442 0.989 0.116
Nd 0.444 0.981 0.879
Nd 0.529 0.564 0.633
Nd 0.535 0.562 0.375
Nd 0.536 0.556 0.879
Nd 0.547 0.558 0.116
Nd 0.792 0.096 0.243
Nd 0.792 0.108 0.000
Nd 0.799 0.106 0.499
Nd 0.799 0.116 0.760
Nd 0.884 0.683 0.760
Nd 0.892 0.685 0.000
Nd 0.894 0.693 0.499
Nd 0.904 0.696 0.243
Si 0.000 0.000 0.144
Si 0.000 0.000 0.393
Si 0.000 0.000 0.648
Si 0.000 0.000 0.898
Si 0.333 0.667 0.021
Si 0.333 0.667 0.269
Si 0.333 0.667 0.524
Si 0.333 0.667 0.777
Si 0.667 0.333 0.306
Si 0.667 0.333 0.557
Se 0.000 0.000 0.052
Se 0.000 0.000 0.301
Se 0.000 0.000 0.553
Se 0.000 0.000 0.805
Se 0.077 0.229 0.182
Se 0.083 0.228 0.431
Se 0.083 0.228 0.936
Se 0.088 0.228 0.684
Se 0.140 0.912 0.684
Se 0.145 0.917 0.431
Se 0.145 0.917 0.936
Se 0.152 0.923 0.182
Se 0.187 0.748 0.059
Se 0.187 0.750 0.560
Se 0.188 0.749 0.308
Se 0.189 0.752 0.812
Se 0.248 0.437 0.812
Se 0.250 0.437 0.560
Se 0.251 0.439 0.308
Se 0.252 0.439 0.059
Se 0.333 0.667 0.178
Se 0.333 0.667 0.431
Se 0.333 0.667 0.682
Se 0.333 0.667 0.929
Se 0.407 0.244 0.123
Se 0.411 0.239 0.872
Se 0.432 0.247 0.364
Se 0.441 0.247 0.609
Se 0.502 0.078 0.997
Se 0.507 0.075 0.743
Se 0.512 0.089 0.497
Se 0.515 0.102 0.255
Se 0.561 0.812 0.308
Se 0.561 0.813 0.059
Se 0.563 0.811 0.812
Se 0.563 0.813 0.560
Se 0.569 0.493 0.743
Se 0.576 0.498 0.997
Se 0.578 0.488 0.497
Se 0.587 0.485 0.255
Se 0.753 0.185 0.364
Se 0.753 0.194 0.609
Se 0.756 0.163 0.123
Se 0.761 0.172 0.872
Se 0.771 0.848 0.182
Se 0.772 0.855 0.431
Se 0.772 0.855 0.936
Se 0.772 0.860 0.684
Se 0.806 0.559 0.609
Se 0.815 0.568 0.364
Se 0.828 0.589 0.872
Se 0.837 0.593 0.123
Se 0.898 0.413 0.255
Se 0.911 0.422 0.497
Se 0.922 0.424 0.997
Se 0.925 0.431 0.743

Properties
Final energy in eV for the cell shown: -488.9
Symmetry: No. 143
Energy above the lowest structure with this stoichiometry in eV/atom: 0.015
Energy of formation from the pure elements in meV/atom: -1677

=====

No. 5
Compound: K2LiTaBr6
Source: the Materials Project database
Functional: PBE-GGA
Structure: relaxed

Unit cell a=7.573 b=7.573 c=7.573 alpha=60.00 beta=60.00 gamma=60.00
Element x y z (fractional)
K 0.250 0.250 0.250
K 0.750 0.750 0.750
Li 0.000 0.000 0.000
Ta 0.500 0.500 0.500
Br 0.254 0.254 0.746
Br 0.254 0.746 0.254
Br 0.254 0.746 0.746
Br 0.746 0.254 0.254
Br 0.746 0.254 0.746
Br 0.746 0.746 0.254

Properties
Final energy in eV for the cell shown: -38.1
Symmetry: No. 225
Energy of formation from the pure elements in meV/atom: -1548

=====

No. 6
Compound: TmMg2
Source: the Materials Project database
Functional: PBE-GGA
Structure: relaxed

Unit cell a=6.001 b=6.001 c=9.750 alpha=90.00 beta=90.00 gamma=120.00
Element x y z (fractional)
Tm 0.333 0.667 0.064
Tm 0.333 0.667 0.436
Tm 0.667 0.333 0.564
Tm 0.667 0.333 0.936
Mg 0.000 0.000 0.000
Mg 0.000 0.000 0.500
Mg 0.171 0.342 0.750
Mg 0.171 0.829 0.750
Mg 0.342 0.171 0.250
Mg 0.658 0.829 0.750
Mg 0.829 0.171 0.250
Mg 0.829 0.658 0.250

Properties
Final energy in eV for the cell shown: -31.3
Symmetry: No. 194
Energy of formation from the pure elements in meV/atom: -47